# 1
Density functional theory data (r²SCAN) for a geometry-optimized BPO4 structure.

Unit cell a=4.344 b=4.344 c=6.654 alpha=90.00 beta=90.00 gamma=90.00
Space group I-4 (No. 82)
Unique sites:
B1 0.000 0.000 0.000
P1 0.000 0.500 0.250
O1 0.139 0.242 0.123

Computed properties:
The formation energy comes out at -2.508 eV/atom. The value obtained for the magnetization is 0.00 μB/f.u.

***

# 2
Density functional theory data (r²SCAN) for a geometry-optimized PrAg2 structure.

Unit cell a=4.786 b=8.316 c=3.593 alpha=90.00 beta=90.00 gamma=90.00
Space group Cmmm (No. 65)
Unique sites:
Pr1 0.000 0.000 0.000
Ag1 0.000 0.334 0.500

Computed properties:
The formation energy comes out at -0.268 eV/atom. The value obtained for the magnetization is 0.00 μB/f.u.

***

# 3
Density functional theory data (r²SCAN) for a geometry-optimized La3PbI3 structure.

Unit cell a=13.040 b=13.040 c=13.040 alpha=90.00 beta=90.00 gamma=90.00
Space group I4_132 (No. 214)
Unique sites:
La1 0.117 0.367 0.125
Pb1 0.125 0.125 0.125
I1 0.119 0.131 0.625

Computed properties:
The formation energy comes out at -1.382 eV/atom. The value obtained for the magnetization is 0.00 μB/f.u.

***

# 4
Density functional theory data (r²SCAN) for a geometry-optimized Pr2GeRh3 structure.

Unit cell a=5.6892 b=5.6892 c=12.0457 alpha=90.00 beta=90.00 gamma=120.00
Space group R-3m (No. 166, hexagonal axes)
Unique sites:
Pr1 0.0000 0.0000 0.1290
Ge1 0.0000 0.0000 0.5000
Rh1 0.0000 0.5000 0.0000

Computed properties:
The formation energy comes out at -0.824 eV/atom. The value obtained for the magnetization is 0.00 μB/f.u.

***

# 5
Density functional theory data (r²SCAN) for a geometry-optimized N structure.

Unit cell a=5.815 b=5.815 c=5.815 alpha=90.00 beta=90.00 gamma=90.00
Space group P2_13 (No. 198)
Unique sites:
N1 0.046 0.454 0.546
N2 0.064 0.064 0.064

Computed properties:
The formation energy comes out at 0.000 eV/atom. The value obtained for the magnetization is 0.00 μB/f.u. For the polymorph energy (0 for the lowest one), the calculation gives 0 meV/atom.

***

# 6
Density functional theory data (r²SCAN) for a geometry-optimized CeBi2Au structure.

Unit cell a=4.686 b=4.686 c=9.945 alpha=90.00 beta=90.00 gamma=90.00
Space group P4/nmm (No. 129, origin choice 2)
Unique sites:
Ce1 0.250 0.250 0.233
Bi1 0.250 0.250 0.813
Bi2 0.250 0.750 0.500
Au1 0.250 0.750 0.000

Computed properties:
The formation energy comes out at -0.641 eV/atom. The value obtained for the magnetization is 0.84 μB/f.u.